# V2Ni3Te3O16 PBE with a Hubbard U relaxed
# - formation enthalpy at 0 K (eV/atom) = -1.574
data_V2Ni3Te3O16
_chemical_formula_sum 'V4 Ni6 Te6 O32'
_cell_length_a 10.5421
_cell_length_b 6.0624
_cell_length_c 9.2174
_cell_angle_alpha 90.00
_cell_angle_beta 91.23
_cell_angle_gamma 90.00
_space_group_name_H-M_alt 'C 1 m 1'
_space_group_IT_number 8
_space_group_name_Hall 'C -2y'
loop_
_atom_site_label
_atom_site_type_symbol
_atom_site_fract_x
_atom_site_fract_y
_atom_site_fract_z
V1 V 0.0000 0.0000 0.0000
V2 V 0.1788 0.5000 0.4562
Ni1 Ni 0.0329 0.5000 0.7537
Ni2 Ni 0.4414 0.2505 0.2565
Te1 Te 0.1907 0.0000 0.2495
Te2 Te 0.2822 0.2511 0.7464
O1 O 0.0356 0.5000 0.3691
O2 O 0.0368 0.0000 0.3592
O3 O 0.1010 0.2084 0.1126
O4 O 0.1342 0.2788 0.6259
O5 O 0.2022 0.0000 0.8519
O6 O 0.2094 0.5000 0.8652
O7 O 0.2670 0.2535 0.3612
O8 O 0.3469 0.5000 0.6217
O9 O 0.3500 0.0000 0.1542
O10 O 0.3593 0.0000 0.6366
O11 O 0.3759 0.5000 0.1135
O12 O 0.4368 0.2514 0.8580